This record from Materials Project describes a relaxed structure of Yb2MgTi2O6. The functional is meta-GGA r2SCAN.

```
Yb2MgTi2O6
1.0
6.2570 0.0969 0.0661
3.7908 4.9744 0.0686
3.7899 1.9152 4.5980
O Ti Yb Mg
6 2 2 1
Cartesian
7.8832 5.3007 0.9045 O
6.0482 2.2364 3.4434 O
6.9297 4.6674 4.5904 O
5.3865 4.5115 2.0030 O
8.9430 2.0222 2.6193 O
6.8322 2.4780 0.7974 O
1.8773 0.9506 0.6391 Ti
13.0988 6.6142 4.4711 Ti
7.4693 3.7715 2.5539 Yb
4.7239 2.3846 1.6084 Yb
10.3355 5.2151 3.5347 Mg
```

Properties
* crystal system: triclinic
* formation energy: -3161 kJ/mol of formula units

This record from Materials Project describes a relaxed structure of Mg3V2O8. The functional is meta-GGA r2SCAN.

```
Mg3V2O8
1.0
5.0927 3.4083 2.0963
-5.2433 2.5863 -2.7866
-3.5771 0.7672 7.4428
O V Mg
16 4 6
Cartesian
-2.7998 3.5736 5.2542 O
-2.4748 5.4794 7.4825 O
1.7127 3.3783 2.5735 O
-0.9279 3.1881 1.4983 O
-1.3343 4.5195 -1.1028 O
-0.1085 3.7593 6.2794 O
-0.6143 2.0993 4.1132 O
-3.1134 4.6624 2.6393 O
-5.4404 3.3834 4.1790 O
2.3971 3.9784 7.6355 O
-3.0441 1.9051 2.9568 O
-1.2529 1.2823 -0.7300 O
-3.6192 3.0024 0.4731 O
-2.3935 2.2422 7.8553 O
-6.1249 2.7833 -0.8829 O
-0.6836 4.8566 3.7957 O
3.4211 3.4013 2.4005 V
-2.6785 3.1901 1.8975 V
-1.0492 3.5716 4.8550 V
-7.1488 3.3604 4.3520 V
-1.7886 0.3836 3.7214 Mg
0.4754 1.8023 2.3530 Mg
0.4001 4.7996 2.0078 Mg
-4.1278 1.9621 4.7447 Mg
-0.0753 2.9973 -0.3451 Mg
-4.2031 4.9594 4.3996 Mg
```

Properties
* crystal system: orthorhombic
* formation energy: -3545 kJ/mol of formula units

This record from Materials Project describes a relaxed structure of MgV2O6. The functional is meta-GGA r2SCAN.

```
MgV2O6
1.0
-1.6905 -3.9724 -2.4427
-1.5392 -1.2208 -4.5547
4.9177 -2.9562 -3.4991
V O Mg
2 6 1
Cartesian
3.5468 -3.4921 -4.2956 V
-1.8588 -4.6572 -6.2009 V
2.3752 -6.3619 -8.1184 O
3.7308 -2.4842 -2.9692 O
-2.0428 -5.6651 -7.5272 O
-0.2042 -4.5377 -5.9266 O
-0.6872 -1.7875 -2.3781 O
1.8922 -3.6116 -4.5699 O
2.4589 -1.4781 -1.7496 Mg
```

Properties
* crystal system: monoclinic
* formation energy: -2290 kJ/mol of formula units

Question: Among the records above, which one has the highest formation energy?
Answer: MgV2O6

What did the second record say?
This record from Materials Project describes a relaxed structure of Mg3V2O8. The functional is meta-GGA r2SCAN.

```
Mg3V2O8
1.0
5.0927 3.4083 2.0963
-5.2433 2.5863 -2.7866
-3.5771 0.7672 7.4428
O V Mg
16 4 6
Cartesian
-2.7998 3.5736 5.2542 O
-2.4748 5.4794 7.4825 O
1.7127 3.3783 2.5735 O
-0.9279 3.1881 1.4983 O
-1.3343 4.5195 -1.1028 O
-0.1085 3.7593 6.2794 O
-0.6143 2.0993 4.1132 O
-3.1134 4.6624 2.6393 O
-5.4404 3.3834 4.1790 O
2.3971 3.9784 7.6355 O
-3.0441 1.9051 2.9568 O
-1.2529 1.2823 -0.7300 O
-3.6192 3.0024 0.4731 O
-2.3935 2.2422 7.8553 O
-6.1249 2.7833 -0.8829 O
-0.6836 4.8566 3.7957 O
3.4211 3.4013 2.4005 V
-2.6785 3.1901 1.8975 V
-1.0492 3.5716 4.8550 V
-7.1488 3.3604 4.3520 V
-1.7886 0.3836 3.7214 Mg
0.4754 1.8023 2.3530 Mg
0.4001 4.7996 2.0078 Mg
-4.1278 1.9621 4.7447 Mg
-0.0753 2.9973 -0.3451 Mg
-4.2031 4.9594 4.3996 Mg
```

Properties
* crystal system: orthorhombic
* formation energy: -3545 kJ/mol of formula units

Question: What is the formation energy in the second record?
Answer: -3545 kJ/mol of formula units

Question: The highest formation energy belongs to which entry?
Answer: MgV2O6